Density functional theory data (GGA-PBE) for V2CrSe4 after structural relaxation.

```
V2CrSe4
1.0
6.621 -1.710 0.000
6.621 1.710 0.000
-2.744 0.000 5.626
V Cr Se
2 1 4
Direct
0.246 0.246 0.186
0.754 0.754 0.814
0.500 0.500 0.500
0.141 0.141 0.479
0.392 0.392 0.049
0.608 0.608 0.951
0.859 0.859 0.521
```

Computed properties:
The calculated formation energy comes out at -21.11 kcal/mol of atoms. As for the total energy: -6.62 eV/atom.

***

Density functional theory data (GGA-PBE) for MoCl3 after structural relaxation.

```
MoCl3
1.0
2.909 -5.052 0.000
2.909 5.052 0.000
-0.577 0.000 13.081
Mo Cl
4 12
Direct
0.130 0.870 0.000
0.187 0.813 0.500
0.813 0.187 0.500
0.870 0.130 0.000
0.155 0.155 0.867
0.164 0.164 0.403
0.168 0.521 0.105
0.170 0.498 0.619
0.479 0.832 0.895
0.498 0.170 0.619
0.502 0.830 0.381
0.521 0.168 0.105
0.830 0.502 0.381
0.832 0.479 0.895
0.836 0.836 0.597
0.845 0.845 0.133
```

Computed properties:
The calculated formation energy comes out at -29.30 kcal/mol of atoms. As for the total energy: -4.91 eV/atom. As for the energy above the most stable polymorph in this dataset: 0.0188 eV per atom.